1.
Material: LiCr2S3O12
Method: DFT, PBE+U
State: optimized geometry

Calculated values
ΔE to the lowest computed polymorph in meV per atom: 0
Energy of formation in eV per atom: -2.041
MP2020-corrected energy in Ha/atom: -0.2649
Crystal system: monoclinic
Volume in Å³/f.u.: 229
Total DFT energy (no corrections) in eV per atom: -6.528

abc: 8.4208 8.7460 14.9439
angles: 90.00 123.77 90.00
Last column: nearest neighbours and their distance in Å.
Fractional coordinates of all 72 atoms:
Li1 0.1180 0.2183 0.3156  4 O 1.95-2.05
Li2 0.1180 0.2817 0.8156  4 O 1.95-2.05
Li3 0.8820 0.7183 0.1844  4 O 1.95-2.05
Li4 0.8820 0.7817 0.6844  4 O 1.95-2.05
Cr1 0.1442 0.5372 0.3931  5 O 2.05-2.15
Cr2 0.1442 0.9628 0.8931  5 O 2.05-2.15
Cr3 0.3613 0.5360 0.1142  6 O 2.02-2.07
Cr4 0.3613 0.9640 0.6142  6 O 2.02-2.07
Cr5 0.6387 0.0360 0.3858  6 O 2.02-2.07
Cr6 0.6387 0.4640 0.8858  6 O 2.02-2.07
Cr7 0.8558 0.0372 0.1069  5 O 2.05-2.15
Cr8 0.8558 0.4628 0.6069  5 O 2.05-2.15
S1 0.0300 0.2448 0.4929  4 O 1.46-1.50
S2 0.0300 0.2552 0.9929  4 O 1.46-1.50
S3 0.2523 0.6079 0.8576  4 O 1.47-1.49
S4 0.2523 0.8921 0.3576  4 O 1.47-1.49
S5 0.4474 0.1198 0.8443  4 O 1.45-1.51
S6 0.4474 0.3802 0.3443  4 O 1.45-1.51
S7 0.5526 0.6198 0.6557  4 O 1.45-1.51
S8 0.5526 0.8802 0.1557  4 O 1.45-1.51
S9 0.7477 0.1079 0.6424  4 O 1.47-1.49
S10 0.7477 0.3921 0.1424  4 O 1.47-1.49
S11 0.9700 0.7448 0.0071  4 O 1.46-1.50
S12 0.9700 0.7552 0.5071  4 O 1.46-1.50
O1 0.0121 0.1376 0.0562  1 S 1.46
O2 0.0121 0.3624 0.5562  1 S 1.46
O3 0.1179 0.1888 0.9383  1 S 1.49
O4 0.1179 0.3112 0.4383  1 S 1.49
O5 0.1362 0.0095 0.2762  1 S 1.47
O6 0.1362 0.4905 0.7762  1 S 1.47
O7 0.1544 0.7413 0.3175  1 S 1.49
O8 0.1544 0.7587 0.8175  1 S 1.49
O9 0.1553 0.1227 0.5679  1 S 1.48
O10 0.1553 0.3773 0.0679  1 S 1.48
O11 0.1608 0.6844 0.0957  1 S 1.50
O12 0.1608 0.8156 0.5957  1 S 1.50
O13 0.2516 0.0907 0.8201  1 S 1.50
O14 0.2516 0.4093 0.3201  1 S 1.50
O15 0.2645 0.5664 0.9579  1 S 1.49
O16 0.2645 0.9336 0.4579  1 S 1.49
O17 0.4065 0.5827 0.5447  1 S 1.45
O18 0.4065 0.9173 0.0447  1 S 1.45
O19 0.4461 0.6193 0.8778  1 S 1.49
O20 0.4461 0.8807 0.3778  1 S 1.49
O21 0.4475 0.2117 0.3236  1 S 1.51
O22 0.4475 0.2883 0.8236  1 S 1.51
O23 0.4745 0.0243 0.7712  1 S 1.49
O24 0.4745 0.4757 0.2712  1 S 1.49
O25 0.5255 0.5243 0.7288  1 S 1.49
O26 0.5255 0.9757 0.2288  1 S 1.49
O27 0.5525 0.7117 0.1764  1 S 1.51
O28 0.5525 0.7883 0.6764  1 S 1.51
O29 0.5539 0.1193 0.6222  1 S 1.49
O30 0.5539 0.3807 0.1222  1 S 1.49
O31 0.5935 0.0827 0.9553  1 S 1.45
O32 0.5935 0.4173 0.4553  1 S 1.45
O33 0.7355 0.0664 0.5421  1 S 1.49
O34 0.7355 0.4336 0.0421  1 S 1.49
O35 0.7484 0.5907 0.6799  1 S 1.50
O36 0.7484 0.9093 0.1799  1 S 1.50
O37 0.8392 0.1844 0.4043  1 S 1.50
O38 0.8392 0.3156 0.9043  1 S 1.50
O39 0.8447 0.6227 0.9321  1 S 1.48
O40 0.8447 0.8773 0.4321  1 S 1.48
O41 0.8456 0.2413 0.1825  1 S 1.49
O42 0.8456 0.2587 0.6825  1 S 1.49
O43 0.8638 0.5095 0.2238  1 S 1.47
O44 0.8638 0.9905 0.7238  1 S 1.47
O45 0.8821 0.6888 0.5617  1 S 1.49
O46 0.8821 0.8112 0.0617  1 S 1.49
O47 0.9879 0.6376 0.4438  1 S 1.46
O48 0.9879 0.8624 0.9438  1 S 1.46

=====

2.
Material: SrCa7Mn6Cr2O22
Method: DFT, PBE+U
State: optimized geometry

Calculated values
ΔE to the lowest computed polymorph in meV per atom: 0
Energy of formation in eV per atom: -2.532
MP2020-corrected energy in Ha/atom: -0.2854
Crystal system: triclinic
Volume in Å³/f.u.: 461
Total DFT energy (no corrections) in eV per atom: -6.999

abc: 10.8727 10.8758 15.5857
angles: 89.97 89.59 89.52
Last column: nearest neighbours and their distance in Å.
Fractional coordinates of all 152 atoms:
Sr1 0.0000 0.0000 0.0000  5 O 2.39-2.62
Sr2 0.0146 0.9817 0.7226  6 O 2.36-2.58
Sr3 0.2450 0.2501 0.7228  3 O 2.37-2.48
Sr4 0.7424 0.7457 0.9949  5 O 2.39-2.64
Ca1 0.0071 0.4909 0.0058  5 O 2.26-2.48
Ca2 0.0150 0.5000 0.4775  6 O 2.35-2.51
Ca3 0.0175 0.4879 0.7179  5 O 2.23-2.47
Ca4 0.0180 0.0014 0.4792  7 O 2.38-2.65
Ca5 0.2266 0.2420 0.2371  4 O 2.34-2.42
Ca6 0.2269 0.7442 0.2375  4 O 2.35-2.42
Ca7 0.2484 0.7530 0.7164  5 O 2.26-2.52
Ca8 0.2735 0.2519 0.4798  5 O 2.34-2.47
Ca9 0.2727 0.7562 0.4793  6 O 2.35-2.59
Ca10 0.2775 0.7499 0.9961  6 O 2.37-2.50
Ca11 0.2808 0.2481 0.9957  7 O 2.37-2.65
Ca12 0.4623 0.4993 0.7269  6 O 2.33-2.57
Ca13 0.4670 0.9950 0.7249  6 O 2.35-2.60
Ca14 0.4724 0.0001 0.2334  6 O 2.37-2.63
Ca15 0.4726 0.5032 0.2322  6 O 2.36-2.60
Ca16 0.4999 0.9991 0.4700  5 O 2.29-2.55
Ca17 0.5032 0.4959 0.4704  5 O 2.29-2.52
Ca18 0.5061 0.9991 0.9977  4 O 2.30-2.51
Ca19 0.5104 0.4946 0.9935  4 O 2.31-2.54
Ca20 0.6959 0.7272 0.7342  6 O 2.30-2.44
Ca21 0.7008 0.2309 0.7356  6 O 2.34-2.42
Ca22 0.7200 0.2449 0.2324  6 O 2.36-2.56
Ca23 0.7203 0.7456 0.2315  6 O 2.37-2.59
Ca24 0.7444 0.2496 0.9991  4 O 2.25-2.46
Ca25 0.7462 0.2485 0.4651  5 O 2.26-2.52
Ca26 0.7472 0.7483 0.4650  5 O 2.26-2.52
Ca27 0.9722 0.5048 0.2390  6 O 2.36-2.63
Ca28 0.9735 0.0035 0.2398  5 O 2.36-2.57
Mn1 0.2409 0.4969 0.3568  6 O 1.95-2.01
Mn2 0.2412 0.9973 0.1118  6 O 1.94-2.02
Mn3 0.2406 0.9982 0.3577  6 O 1.93-2.01
Mn4 0.2416 0.4978 0.1108  6 O 1.95-2.02
Mn5 0.4868 0.7489 0.8578  6 O 1.95-2.06
Mn6 0.4920 0.2486 0.3548  6 O 1.94-2.00
Mn7 0.4916 0.7484 0.1122  6 O 1.93-2.03
Mn8 0.4919 0.7477 0.3551  6 O 1.93-2.00
Mn9 0.4932 0.2499 0.8591  6 O 1.93-2.03
Mn10 0.4936 0.2501 0.1128  6 O 1.92-2.02
Mn11 0.4977 0.7416 0.6035  6 O 1.92-2.10
Mn12 0.5006 0.2434 0.6055  5 O 1.90-2.06
Mn13 0.7229 0.9999 0.8638  4 O 1.94-2.00
Mn14 0.7279 0.4954 0.8621  4 O 1.95-2.01
Mn15 0.7340 0.9807 0.5915  4 O 1.88-1.92
Mn16 0.7351 0.4832 0.5924  4 O 1.88-1.91
Mn17 0.7421 0.0004 0.3549  6 O 1.90-1.98
Mn18 0.7418 0.5008 0.3542  6 O 1.91-1.97
Mn19 0.7428 0.9988 0.1141  6 O 1.95-2.01
Mn20 0.7458 0.4969 0.1134  6 O 1.95-2.00
Mn21 0.9910 0.2520 0.3620  6 O 1.89-2.06
Mn22 0.9913 0.7517 0.3617  6 O 1.89-2.05
Mn23 0.9943 0.7498 0.1213  5 O 1.93-1.97
Mn24 0.9951 0.2513 0.1219  5 O 1.91-1.96
Cr1 0.0047 0.2618 0.6006  4 O 1.88-2.06
Cr2 0.0052 0.7546 0.5992  4 O 1.87-2.05
Cr3 0.2482 0.5033 0.5991  5 O 1.89-2.00
Cr4 0.2503 0.0007 0.6013  6 O 1.97-2.16
Cr5 0.2549 0.5137 0.8640  5 O 1.89-2.07
Cr6 0.2625 0.0118 0.8640  5 O 1.88-2.06
Cr7 0.9750 0.2043 0.8418  4 O 1.74-1.86
Cr8 0.9797 0.6860 0.8423  4 O 1.74-1.87
O1 0.0006 0.2826 0.7393  1 Cr 1.83
O2 0.0089 0.2903 0.2441  2 Mn 1.89-1.96
O3 0.0088 0.7893 0.2440  2 Mn 1.89-1.97
O4 0.0235 0.7623 0.7432  1 Cr 1.82
O5 0.0715 0.5486 0.8583  1 Cr 1.81
O6 0.0873 0.0834 0.8543  1 Cr 1.80
O7 0.0940 0.1022 0.3437  2 Mn 1.96-1.99
O8 0.0943 0.6001 0.1287  2 Mn 1.95-1.96
O9 0.0945 0.6013 0.3436  2 Mn 1.96-1.99
O10 0.0963 0.1032 0.1314  2 Mn 1.95-1.97
O11 0.1011 0.1132 0.6180  2 Cr 1.94-2.04
O12 0.1012 0.6061 0.6161  2 Cr 1.94-1.96
O13 0.1340 0.3533 0.3873  2 Mn 1.96-2.01
O14 0.1343 0.8510 0.0875  2 Mn 1.96-2.02
O15 0.1336 0.8535 0.3864  2 Mn 1.95-2.01
O16 0.1348 0.3511 0.0843  2 Mn 1.96-2.02
O17 0.1449 0.8544 0.5902  2 Cr 1.88-1.98
O18 0.1456 0.3620 0.5869  2 Cr 1.90-1.92
O19 0.2258 0.5379 0.9885  1 Mn 1.96, 1 Cr 1.98
O20 0.2304 0.0345 0.9891  1 Mn 1.96, 1 Cr 1.99
O21 0.2384 0.5407 0.4805  1 Cr 1.89, 1 Mn 1.99
O22 0.2393 0.0398 0.4783  1 Mn 1.93, 1 Cr 1.97
O23 0.2433 0.4770 0.7343  2 Cr 2.07-2.13
O24 0.2494 0.9585 0.2348  2 Mn 1.96-1.97
O25 0.2497 0.4569 0.2346  2 Mn 1.96-1.98
O26 0.2501 0.9678 0.7379  2 Cr 2.03-2.16
O27 0.3190 0.6735 0.8476  1 Cr 1.89, 1 Mn 2.01
O28 0.3350 0.1669 0.8525  1 Cr 1.88, 1 Mn 1.95
O29 0.3465 0.6413 0.1283  2 Mn 1.96-1.98
O30 0.3484 0.1421 0.1272  2 Mn 1.98-1.99
O31 0.3482 0.6392 0.3386  2 Mn 1.97-1.98
O32 0.3492 0.1397 0.3379  2 Mn 1.97-1.98
O33 0.3545 0.6370 0.6206  1 Cr 1.90, 1 Mn 1.95
O34 0.3644 0.1372 0.6217  1 Mn 1.90, 1 Cr 1.97
O35 0.3812 0.3883 0.3779  2 Mn 1.95-1.96
O36 0.3818 0.8885 0.3767  2 Mn 1.96
O37 0.3825 0.8908 0.0910  2 Mn 1.94-1.97
O38 0.3848 0.3926 0.0893  2 Mn 1.95-1.98
O39 0.3867 0.3994 0.8846  1 Cr 1.92, 1 Mn 2.03
O40 0.3940 0.8995 0.8876  1 Cr 1.91, 1 Mn 1.97
O41 0.3962 0.3946 0.5873  1 Cr 2.00, 1 Mn 2.01
O42 0.3993 0.8887 0.5840  1 Mn 1.94, 1 Cr 2.04
O43 0.4851 0.7795 0.7304  2 Mn 2.01-2.02
O44 0.4928 0.2872 0.7337  2 Mn 2.00-2.06
O45 0.4941 0.7116 0.9842  2 Mn 2.01-2.03
O46 0.4949 0.7089 0.4806  2 Mn 1.95-2.00
O47 0.4966 0.2138 0.4805  2 Mn 1.97-2.00
O48 0.4969 0.2877 0.2330  2 Mn 1.92-1.94
O49 0.4965 0.7837 0.2337  2 Mn 1.93
O50 0.4992 0.2146 0.9857  2 Mn 2.01-2.02
O51 0.5802 0.5985 0.8343  2 Mn 1.95-2.00
O52 0.5817 0.1008 0.8304  2 Mn 1.93-1.95
O53 0.5985 0.1060 0.3340  2 Mn 1.95-1.96
O54 0.5987 0.6057 0.3334  2 Mn 1.95
O55 0.6011 0.1075 0.1303  2 Mn 1.95
O56 0.6026 0.6059 0.1260  2 Mn 1.96-1.97
O57 0.6098 0.5900 0.6354  2 Mn 1.90-2.10
O58 0.6165 0.0915 0.6374  1 Mn 1.89
O59 0.6270 0.8636 0.0968  2 Mn 1.95-1.96
O60 0.6310 0.3604 0.3731  2 Mn 1.97
O61 0.6307 0.8603 0.3738  2 Mn 1.97-1.98
O62 0.6333 0.3591 0.0945  2 Mn 1.95-1.97
O63 0.6525 0.8257 0.5998  2 Mn 1.92
O64 0.6540 0.8366 0.8575  2 Mn 1.94-2.06
O65 0.6577 0.3268 0.6004  2 Mn 1.91-1.94
O66 0.6575 0.3317 0.8658  2 Mn 1.95-2.01
O67 0.7257 0.0386 0.4781  2 Mn 1.88-1.97
O68 0.7260 0.5385 0.4774  2 Mn 1.89-1.97
O69 0.7465 0.0243 0.9867  2 Mn 1.95-2.01
O70 0.7544 0.4588 0.2356  2 Mn 1.91-1.95
O71 0.7554 0.5154 0.9859  2 Mn 1.97-2.00
O72 0.7557 0.9603 0.2364  2 Mn 1.90-1.96
O73 0.8450 0.1469 0.3367  2 Mn 1.97-2.00
O74 0.8446 0.6469 0.3360  2 Mn 1.97-2.01
O75 0.8476 0.5995 0.7955  1 Cr 1.87, 1 Mn 2.01
O76 0.8485 0.1034 0.8044  1 Cr 1.86, 1 Mn 2.00
O77 0.8522 0.1421 0.1213  2 Mn 1.96-1.97
O78 0.8531 0.6389 0.1257  2 Mn 1.95-1.96
O79 0.8806 0.8831 0.0996  2 Mn 1.93-1.96
O80 0.8836 0.3957 0.3823  2 Mn 1.96-1.97
O81 0.8843 0.8957 0.3833  2 Mn 1.97
O82 0.8867 0.3868 0.0993  2 Mn 1.91-1.95
O83 0.8898 0.9042 0.6022  1 Mn 1.89, 1 Cr 2.05
O84 0.8949 0.4168 0.6022  1 Mn 1.88, 1 Cr 2.06
O85 0.9510 0.2783 0.9393  1 Cr 1.74
O86 0.9600 0.2120 0.4896  1 Cr 1.88, 1 Mn 2.06
O87 0.9604 0.7085 0.4880  1 Cr 1.87, 1 Mn 2.05
O88 0.9648 0.7691 0.9371  1 Cr 1.74

=====

3.
Material: BaPr3Ni2O8
Method: DFT, PBE+U
State: optimized geometry

Calculated values
Energy of formation in eV per atom: -2.753
MP2020-corrected energy in Ha/atom: -0.2781
Crystal system: orthorhombic
Volume in Å³/f.u.: 191
Total DFT energy (no corrections) in eV per atom: -6.812

abc: 5.4879 6.9594 6.9594
angles: 46.02 90.00 90.00
Last column: nearest neighbours and their distance in Å.
Fractional coordinates of all 14 atoms:
Ba1 0.0000 0.0000 0.0000  9 O 2.53-2.78
Pr1 0.0000 0.7204 0.7204  5 O 2.37-2.59
Pr2 0.5000 0.2171 0.2171  5 O 2.38-2.52
Pr3 0.5000 0.4929 0.4929  5 O 2.35-2.62
Ni1 0.0000 0.3559 0.3559  5 O 1.97-2.03
Ni2 0.5000 0.8584 0.8584  4 O 1.90
O1 0.0000 0.1973 0.1973  1 Ni 2.03
O2 0.0000 0.5352 0.5352  1 Ni 2.30, 1 Pr 2.37
O3 0.2632 0.1025 0.5956  2 Ni 1.90-1.97
O4 0.2632 0.5956 0.1025  2 Ni 1.90-1.97
O5 0.5000 0.0311 0.0311  1 Ni 2.21, 1 Pr 2.38
O6 0.5000 0.6760 0.6760  1 Ni 2.34, 1 Pr 2.35
O7 0.7368 0.1025 0.5956  2 Ni 1.90-1.97
O8 0.7368 0.5956 0.1025  2 Ni 1.90-1.97

=====

4.
Material: Mn3OF5
Method: DFT, PBE+U
State: optimized geometry

Calculated values
ΔE to the lowest computed polymorph in meV per atom: 23
Energy of formation in eV per atom: -2.723
MP2020-corrected energy in Ha/atom: -0.2716
Crystal system: triclinic
Volume in Å³/f.u.: 117
Total DFT energy (no corrections) in eV per atom: -6.501

abc: 4.9048 5.8710 8.1483
angles: 86.59 88.58 87.89
Last column: nearest neighbours and their distance in Å.
Fractional coordinates of all 18 atoms:
Mn1 0.0000 0.0000 0.0000  1 O 2.00, 5 F 2.12-2.15
Mn2 0.0020 0.3306 0.6687  1 O 1.96, 5 F 2.10-2.14
Mn3 0.4617 0.8565 0.6822  2 O 1.89-1.92, 1 F 2.05
Mn4 0.4728 0.1766 0.3519  1 O 2.07, 5 F 2.11-2.22
Mn5 0.4803 0.5214 0.9993  1 O 2.05, 5 F 2.13-2.20
Mn6 0.9817 0.6784 0.3424  6 F 2.10-2.15
O1 0.2881 0.1270 0.5821  3 Mn 1.92-2.07
O2 0.2962 0.8117 0.8936  3 Mn 1.89-2.05
F1 0.1769 0.3122 0.9073  3 Mn 2.14-2.15
F2 0.1814 0.9748 0.2369  3 Mn 2.14-2.16
F3 0.1871 0.6266 0.5703  3 Mn 2.10-2.19
F4 0.2920 0.4752 0.2366  3 Mn 2.10-2.13
F5 0.6698 0.8677 0.4603  3 Mn 2.05-2.17
F6 0.6835 0.2109 0.1082  3 Mn 2.15-2.22
F7 0.6901 0.5542 0.7590  3 Mn 2.12-2.19
F8 0.7892 0.7114 0.1087  3 Mn 2.14-2.16
F9 0.7916 0.0515 0.7750  3 Mn 2.10-2.19
F10 0.7925 0.3728 0.4405  3 Mn 2.14-2.15

=====

> Among the records above, which one has the lowest volume?

Mn3OF5